1:
! LiMn2B8O14 GGA+U optimized geometry; values from VASP
! * SG: No. 38
&SYSTEM
  ibrav = 0, nat = 25, ntyp = 4
/
ATOMIC_SPECIES
O 16.00 O.upf
B 10.81 B.upf
Li 6.94 Li.upf
Mn 54.94 Mn.upf
ATOMIC_POSITIONS angstrom
O -4.377 3.019 -1.199
O -4.229 4.532 0.641
B -4.349 2.667 -4.287
O -2.234 4.934 -0.606
B -2.204 1.536 -3.485
O -0.771 1.925 -3.434
Li -2.640 2.975 -0.073
B -2.824 5.009 0.728
O -2.081 4.086 1.582
O -4.586 0.566 -0.871
Mn -1.060 1.428 -0.784
O -2.800 1.503 -2.189
B -0.991 5.669 -3.359
O -0.756 4.318 -3.775
O 0.020 4.685 0.403
B -0.291 3.246 -2.956
B -4.803 3.240 0.181
O -4.223 2.170 0.989
O -5.028 1.784 -3.191
B -0.822 4.736 -0.950
B -4.180 1.734 -1.879
O -2.954 2.354 -4.383
O -0.427 5.897 -1.919
Mn -3.982 5.070 -1.991
O -0.602 3.468 -1.581
CELL_PARAMETERS angstrom
-0.342 1.895 -4.888
-6.356 -1.298 -0.058
1.675 5.882 2.163

=====

2:
! LiMn2B8O14 GGA+U optimized geometry; values from VASP
! * SG: No. 6
&SYSTEM
  ibrav = 0, nat = 25, ntyp = 4
/
ATOMIC_SPECIES
O 16.00 O.upf
B 10.81 B.upf
Mn 54.94 Mn.upf
Li 6.94 Li.upf
ATOMIC_POSITIONS angstrom
O -3.311 -2.444 -4.439
B -5.053 -0.555 -0.401
O -6.226 0.146 -1.187
O -2.556 -0.560 -3.179
O -2.710 -4.776 0.535
Mn -1.234 -1.293 -1.036
B -3.745 -0.264 -2.523
B -3.654 -3.850 -4.521
O -4.268 -2.308 1.719
Li -2.833 0.889 0.124
O -5.006 -4.167 0.452
B -3.906 -0.902 1.834
B -3.810 -4.438 -0.203
O -2.739 -4.701 -3.729
O -4.790 -0.039 0.983
B -2.543 -4.186 -2.356
O -5.349 -1.981 -0.388
O -3.790 -4.449 -1.571
O -4.873 0.034 -3.238
O -3.806 -0.289 -1.156
B -2.284 -1.990 -3.541
Mn -6.131 -3.462 -1.797
O -2.231 -2.771 -2.335
O -1.374 -4.929 -1.529
B -5.293 -2.757 0.819
CELL_PARAMETERS angstrom
-2.339 0.709 -4.561
0.129 -7.583 -1.245
-5.334 2.117 3.065

=====

3:
! LiMn2B8O14 GGA+U optimized geometry; values from VASP
! * SG: No. 5
&SYSTEM
  ibrav = 0, nat = 25, ntyp = 4
/
ATOMIC_SPECIES
B 10.81 B.upf
O 16.00 O.upf
Mn 54.94 Mn.upf
Li 6.94 Li.upf
ATOMIC_POSITIONS angstrom
B 1.318 4.020 4.007
B 3.906 0.674 1.968
O 2.488 4.870 1.090
O 1.258 5.199 3.139
O 2.502 3.238 3.790
Mn 1.190 2.034 1.241
B 0.019 1.735 3.963
O 3.966 0.905 0.522
Li 2.612 0.480 6.051
Mn 4.034 4.043 2.465
B 0.019 4.345 -0.320
O 3.889 1.508 4.769
O 5.075 1.171 2.643
B 2.612 4.338 -0.279
O 0.125 4.908 1.027
O 1.335 1.148 4.550
B 2.612 1.789 3.903
O 2.737 2.877 -0.124
O 3.897 4.973 -0.877
O 1.327 4.577 -1.118
O 2.722 1.226 2.563
B 3.938 2.132 -0.261
O 5.099 2.915 -0.188
O 0.149 3.193 3.875
B 1.286 5.332 1.690
CELL_PARAMETERS angstrom
5.186 0.026 0.016
0.019 5.956 -2.964
0.019 0.096 6.652

=====

Quick ranking, most stable first: 2, 1, 3.

=====

1:
! Li2VBO4 GGA+U optimized geometry; values from VASP
! * SG: No. 1
&SYSTEM
  ibrav = 0, nat = 16, ntyp = 4
/
ATOMIC_SPECIES
Li 6.94 Li.upf
O 16.00 O.upf
B 10.81 B.upf
V 50.94 V.upf
ATOMIC_POSITIONS angstrom
Li 4.667 3.358 4.710
O 4.696 1.597 3.894
Li 1.545 1.823 2.341
O 4.642 3.093 1.948
O 3.429 0.964 1.922
B 1.550 3.519 0.033
O 0.307 4.219 4.297
Li 3.099 0.985 4.730
O 1.520 2.088 4.327
V 3.160 4.271 2.332
O 1.570 3.586 1.521
B 4.674 1.663 2.405
O 2.806 4.198 4.280
O 5.927 0.985 1.902
V 0.038 0.909 4.706
Li 6.219 4.197 2.352
CELL_PARAMETERS angstrom
6.248 0.000 -0.001
0.003 5.183 0.006
0.002 -0.001 4.750

=====

2:
! Li2VBO4 GGA+U optimized geometry; values from VASP
! * SG: No. 14
&SYSTEM
  ibrav = 0, nat = 32, ntyp = 4
/
ATOMIC_SPECIES
O 16.00 O.upf
B 10.81 B.upf
V 50.94 V.upf
Li 6.94 Li.upf
ATOMIC_POSITIONS angstrom
O 1.055 6.852 3.756
O 3.642 0.535 1.547
O 0.899 5.527 5.750
B 3.552 2.045 5.949
O 2.977 5.577 4.568
B 1.622 6.012 4.655
V 1.904 4.290 6.857
O 4.369 4.467 2.340
O 0.805 3.590 8.265
O 4.275 2.530 4.855
Li 4.410 6.386 3.128
O 1.688 4.857 0.448
O 3.392 5.138 7.642
Li 4.256 6.080 6.103
O 2.197 2.480 6.036
O 0.390 1.809 0.734
O 1.532 7.523 9.058
V 4.491 4.438 9.049
Li 0.918 1.977 4.501
O 3.486 3.200 10.157
V 0.683 3.619 1.555
Li 1.823 1.001 2.174
Li 1.669 2.648 9.803
B 4.209 1.374 0.647
O 1.782 2.919 2.963
O 4.119 1.205 6.849
Li 3.505 5.410 0.801
Li 0.764 1.671 7.476
O 4.784 6.248 9.871
Li 3.351 7.057 8.430
B 0.965 6.683 9.957
V 3.270 3.767 3.747
CELL_PARAMETERS angstrom
5.174 0.000 0.000
0.000 6.716 0.000
0.000 1.341 10.604

=====

Quick ranking, most stable first: 2, 1.

=====

1:
! Li2VBO4 GGA+U optimized geometry; values from VASP
! * SG: No. 33
&SYSTEM
  ibrav = 0, nat = 32, ntyp = 4
/
ATOMIC_SPECIES
Li 6.94 Li.upf
O 16.00 O.upf
B 10.81 B.upf
V 50.94 V.upf
ATOMIC_POSITIONS angstrom
Li 1.542 0.722 6.733
O 3.766 2.256 4.584
Li 3.413 5.394 0.791
O 1.439 0.409 3.564
B 4.042 2.277 6.055
O 3.862 1.033 1.583
V 1.563 3.892 6.803
Li 0.959 2.285 4.331
Li 3.948 5.394 5.913
Li 3.366 3.831 3.511
O 3.071 5.421 9.122
Li 1.495 2.285 9.453
O 1.312 5.365 0.538
V 0.890 3.892 1.681
O 3.893 3.518 1.558
O 1.837 2.312 1.122
O 1.408 4.143 3.539
B 0.866 5.386 4.189
O 3.499 1.033 6.704
O 1.045 4.143 8.661
O 0.617 2.312 6.244
O 1.015 0.409 8.686
O 3.596 2.256 9.706
O 3.469 3.518 6.680
Li 0.912 0.722 1.611
B 1.588 5.386 9.311
V 3.344 0.783 3.441
V 4.017 0.783 8.562
Li 3.996 3.831 8.633
B 3.320 2.277 0.933
O 1.142 5.365 5.660
O 4.291 5.421 4.000
CELL_PARAMETERS angstrom
4.908 0.000 0.000
0.000 6.218 0.000
0.000 0.000 10.244

=====

2:
! Li2VBO4 GGA+U optimized geometry; values from VASP
! * SG: No. 33
&SYSTEM
  ibrav = 0, nat = 32, ntyp = 4
/
ATOMIC_SPECIES
O 16.00 O.upf
V 50.94 V.upf
B 10.81 B.upf
Li 6.94 Li.upf
ATOMIC_POSITIONS angstrom
O 3.157 3.469 3.551
O 0.770 2.844 1.619
O 3.192 4.672 5.677
V 1.199 0.079 3.510
O 2.757 1.516 6.177
V 3.579 3.199 1.670
O 0.770 0.275 6.798
O 0.777 2.770 6.808
O 0.777 0.349 1.628
B 1.268 1.586 0.934
Li 1.214 6.227 8.737
B 3.648 4.653 9.425
Li 3.593 0.012 1.622
Li 1.212 4.543 5.928
O 2.757 1.604 0.997
O 3.150 5.964 3.561
O 0.812 1.552 9.862
O 0.378 4.723 4.183
Li 3.593 3.108 6.802
B 1.268 1.534 6.114
B 3.648 4.705 4.245
O 0.812 1.567 4.682
O 0.378 4.635 9.362
O 3.150 3.395 8.740
Li 3.592 1.696 4.431
Li 1.212 4.816 0.748
V 3.579 6.160 6.849
V 1.199 3.040 8.690
Li 1.214 3.131 3.558
O 3.157 5.890 8.731
O 3.192 4.687 0.497
Li 3.592 1.423 9.611
CELL_PARAMETERS angstrom
4.759 0.000 0.000
0.000 6.239 0.000
0.000 0.000 10.359

=====

3:
! Li2VBO4 GGA+U optimized geometry; values from VASP
! * SG: No. 62
&SYSTEM
  ibrav = 0, nat = 32, ntyp = 4
/
ATOMIC_SPECIES
Li 6.94 Li.upf
O 16.00 O.upf
V 50.94 V.upf
B 10.81 B.upf
ATOMIC_POSITIONS angstrom
Li 3.275 2.919 10.015
Li 3.796 2.919 4.563
O 1.292 5.654 9.848
Li 1.439 2.970 0.889
V 0.921 1.472 8.942
O 4.042 4.417 9.145
V 3.793 4.417 1.962
B 0.816 4.417 9.140
Li 3.275 0.025 10.015
V 1.436 1.472 3.490
O 3.634 1.472 8.668
O 1.065 5.654 4.396
O 3.422 2.710 1.056
O 3.422 0.235 1.056
O 1.065 3.180 4.396
B 3.898 1.472 1.764
O 3.649 0.235 6.508
Li 0.918 2.970 6.341
O 3.649 2.710 6.508
B 1.541 4.417 3.688
Li 0.918 5.864 6.341
V 3.278 4.417 7.414
O 3.437 1.472 3.216
O 1.277 4.417 7.687
O 1.684 1.472 7.211
Li 3.796 0.025 4.563
Li 1.439 5.864 0.889
O 1.080 4.417 2.235
O 1.292 3.180 9.848
B 3.173 1.472 7.216
O 3.030 4.417 3.693
O 0.673 1.472 1.759
CELL_PARAMETERS angstrom
4.714 0.000 0.000
0.000 5.889 0.000
0.000 0.000 10.904

=====

Quick ranking, most stable first: 2, 1, 3.

=====

1:
! LiVB2O5 GGA+U optimized geometry; values from VASP
! * SG: No. 14
&SYSTEM
  ibrav = 0, nat = 72, ntyp = 4
/
ATOMIC_SPECIES
O 16.00 O.upf
B 10.81 B.upf
Li 6.94 Li.upf
V 50.94 V.upf
ATOMIC_POSITIONS angstrom
O 1.997 1.363 1.606
O -0.084 5.228 10.458
B 0.583 -1.409 3.478
O 1.688 -1.673 4.228
B 5.525 3.748 8.300
O 2.184 -0.013 6.728
B 1.465 0.718 2.698
B 5.411 1.899 5.258
O 5.174 8.952 8.446
O 4.667 2.635 8.256
O 0.481 1.677 6.550
O 3.373 9.990 10.743
Li -3.189 1.749 10.046
V 4.652 5.792 10.246
O 5.145 3.089 4.513
O -1.655 1.297 8.551
B -0.350 6.419 9.713
Li 7.737 6.139 8.707
O 8.694 4.746 7.316
O 5.987 4.287 9.492
B -0.464 4.570 6.671
O -0.399 2.871 10.535
B 6.016 4.194 4.543
O -0.926 4.031 5.478
B 2.595 4.795 5.333
O 3.051 4.713 9.925
O 1.798 1.082 3.987
V 0.409 2.526 4.724
O -0.113 -0.635 6.525
O 6.644 1.680 5.804
O 4.580 6.641 8.421
Li -2.676 2.178 6.264
Li 8.250 6.569 4.925
O 3.263 7.236 10.984
B 4.199 7.962 8.386
O 1.760 3.351 8.481
B 0.862 0.356 6.585
O 6.716 7.021 6.420
Li 2.063 5.496 8.059
O 5.910 4.304 7.103
V 1.974 8.586 10.161
B -0.955 4.124 10.428
O 7.390 4.056 4.678
V 3.087 -0.268 4.810
O 2.010 3.605 5.045
V -2.627 5.070 8.409
O 0.670 7.287 9.496
O 3.301 4.966 6.490
B 3.596 7.600 12.273
O -0.849 4.014 7.868
O 6.270 7.035 10.575
B 7.076 6.992 11.671
O 0.609 -0.360 2.500
V 5.033 6.025 6.449
B 4.478 9.727 11.492
B -2.015 1.325 3.300
O -1.209 1.283 4.396
Li 1.411 5.169 12.002
O 2.877 8.331 8.243
O 4.391 1.031 5.475
Li 3.650 3.149 2.969
V 0.028 2.293 8.522
Li 2.998 2.822 6.912
O 3.064 6.954 13.365
V 7.688 3.248 6.562
O 5.460 5.446 4.436
O -2.329 4.261 10.292
O 4.453 8.678 12.471
O -1.583 6.638 9.167
O -3.633 3.572 7.654
B 2.466 3.523 9.638
O 0.394 5.683 6.715
CELL_PARAMETERS angstrom
-6.380 4.728 7.392
2.140 -3.205 3.897
9.301 6.794 3.682

=====

2:
! LiVB2O5 GGA+U optimized geometry; values from VASP
! * SG: No. 14
&SYSTEM
  ibrav = 0, nat = 36, ntyp = 4
/
ATOMIC_SPECIES
B 10.81 B.upf
O 16.00 O.upf
V 50.94 V.upf
Li 6.94 Li.upf
ATOMIC_POSITIONS angstrom
B 5.662 5.330 3.015
O 6.741 7.223 6.160
O 4.313 5.319 3.093
O 8.073 2.616 1.813
O 5.317 2.481 3.556
V 7.934 6.091 5.027
O 1.926 3.481 0.490
O 9.128 5.386 3.556
Li 9.074 5.285 1.435
O 2.889 0.576 0.490
B 8.515 2.082 0.599
O 1.557 5.183 4.836
O 4.801 4.228 0.510
V 6.512 3.186 5.027
B 3.700 2.813 6.050
Li 0.556 2.514 5.215
V 3.118 4.614 1.622
B 8.783 2.426 3.015
O 0.502 2.414 3.093
B 1.115 5.718 6.050
B 0.847 5.374 3.634
B 5.930 4.986 0.599
B 3.968 2.469 3.634
O 0.015 1.323 0.510
V 1.697 1.709 1.622
O 6.372 5.521 1.813
O 7.704 4.319 6.160
Li 5.371 2.380 1.435
Li 4.259 5.419 5.215
O 3.258 2.278 4.836
O 8.051 2.230 4.169
O 9.616 6.477 6.139
O 4.830 3.572 6.139
O 1.579 5.570 2.480
O 3.236 2.665 2.480
O 6.394 5.134 4.169
CELL_PARAMETERS angstrom
9.630 0.000 0.000
0.000 5.810 0.000
0.000 1.990 6.649

=====

3:
! LiVB2O5 GGA+U optimized geometry; values from VASP
! * SG: No. 15
&SYSTEM
  ibrav = 0, nat = 36, ntyp = 4
/
ATOMIC_SPECIES
B 10.81 B.upf
V 50.94 V.upf
Li 6.94 Li.upf
O 16.00 O.upf
ATOMIC_POSITIONS angstrom
B 5.131 -0.993 -5.174
V 5.593 -3.747 -10.884
B 8.356 -3.775 -10.043
Li 2.148 -2.397 -6.022
O 0.912 -3.130 -4.694
Li 2.282 2.339 -6.854
O 2.187 -0.402 -2.842
O 7.083 -4.085 -9.680
Li 6.502 -0.453 -8.805
B 4.169 0.199 -8.300
O 2.188 -1.605 -9.692
O 7.738 0.280 -10.133
O 0.336 -1.485 -1.911
V 3.057 0.898 -3.943
O 4.683 0.191 -4.646
O 3.328 -3.605 -7.010
O 3.967 -3.040 -10.181
O 5.322 0.755 -7.818
O 4.195 -1.889 -5.746
O 8.314 -1.364 -12.917
O 6.463 -2.447 -11.986
O 6.462 -1.244 -5.136
O 0.129 -1.902 -6.474
O 8.521 -0.948 -8.353
V 1.400 0.038 -9.107
B 0.294 0.926 -4.784
O 5.731 -3.533 -6.751
B 7.806 -2.272 -12.022
O 4.455 -0.960 -9.081
Li 6.368 -5.188 -7.973
B 4.481 -3.048 -6.528
O 2.919 0.683 -8.076
O 1.567 1.236 -5.147
V 7.250 -2.887 -5.720
B 3.519 -1.856 -9.654
B 0.844 -0.577 -2.805
CELL_PARAMETERS angstrom
-0.105 -6.034 -4.163
0.186 4.252 -5.969
8.569 -1.067 -4.695

=====

Quick ranking, most stable first: 2, 1, 3.